The following is a PBE-GGA calculation of a relaxed structure of Na4Hf2Si3O12, from Materials Project.

POSCAR file:
```
Na4Hf2Si3O12
1.0
-7.0545 0.8699 5.8443
1.0041 -7.7360 -4.8810
12.8601 -8.9672 16.8578
Na Hf O Si
24 12 72 18
Direct
0.6667 0.3333 0.3333 Na
0.9676 0.6667 0.9167 Na
0.3333 0.6667 0.1667 Na
0.6667 0.6990 0.0833 Na
0.3010 0.3333 0.5833 Na
0.0324 0.3333 0.0833 Na
0.3010 0.9676 0.0833 Na
0.6990 0.6667 0.4167 Na
0.3657 0.0000 0.7500 Na
0.0000 0.0000 0.5000 Na
0.0000 0.6343 0.2500 Na
0.0000 0.3657 0.7500 Na
0.6343 0.0000 0.2500 Na
0.6667 0.9676 0.5833 Na
0.6343 0.6343 0.7500 Na
0.0000 0.0000 0.0000 Na
0.0324 0.6990 0.5833 Na
0.6990 0.0324 0.9167 Na
0.3657 0.3657 0.2500 Na
0.3333 0.3010 0.9167 Na
0.9676 0.3010 0.4167 Na
0.3333 0.0324 0.4167 Na
0.6667 0.3333 0.8333 Na
0.3333 0.6667 0.6667 Na
0.0000 0.0000 0.3513 Hf
0.6667 0.3333 0.4820 Hf
0.3333 0.6667 0.0180 Hf
0.0000 0.0000 0.1487 Hf
0.0000 0.0000 0.6487 Hf
0.6667 0.3333 0.1846 Hf
0.6667 0.3333 0.9820 Hf
0.3333 0.6667 0.8154 Hf
0.0000 0.0000 0.8513 Hf
0.3333 0.6667 0.5180 Hf
0.3333 0.6667 0.3154 Hf
0.6667 0.3333 0.6846 Hf
0.3567 0.8553 0.5765 O
0.5013 0.3567 0.4235 O
0.1887 0.1653 0.0902 O
0.4606 0.1620 0.5266 O
0.5220 0.8320 0.7569 O
0.8286 0.7939 0.3067 O
0.8553 0.4987 0.4235 O
0.4953 0.1272 0.6400 O
0.9653 0.1714 0.3067 O
0.0233 0.8347 0.4098 O
0.6319 0.5047 0.6400 O
0.5047 0.6319 0.8600 O
0.7939 0.8286 0.1933 O
0.3100 0.8320 0.2569 O
0.8380 0.2986 0.5266 O
0.1887 0.0233 0.5902 O
0.2986 0.8380 0.9734 O
0.1447 0.6433 0.0765 O
0.6900 0.5220 0.2431 O
0.5394 0.8380 0.4734 O
0.4780 0.1680 0.2431 O
0.5047 0.8728 0.3600 O
0.5220 0.6900 0.2569 O
0.1680 0.6900 0.7569 O
0.3681 0.4953 0.3600 O
0.8347 0.8113 0.5902 O
0.1714 0.9653 0.1933 O
0.8320 0.5220 0.7431 O
0.0347 0.2061 0.1933 O
0.8347 0.0233 0.0902 O
0.0233 0.1887 0.9098 O
0.4780 0.3100 0.7431 O
0.2986 0.4606 0.4734 O
0.1620 0.4606 0.9734 O
0.8113 0.9767 0.4098 O
0.6433 0.4987 0.9235 O
0.4987 0.8553 0.0765 O
0.4953 0.3681 0.1400 O
0.8380 0.5394 0.0266 O
0.1272 0.4953 0.8600 O
0.8728 0.3681 0.6400 O
0.4606 0.2986 0.0266 O
0.1680 0.4780 0.2569 O
0.2061 0.0347 0.3067 O
0.8113 0.8347 0.9098 O
0.7014 0.5394 0.5266 O
0.1272 0.6319 0.3600 O
0.5394 0.7014 0.9734 O
0.7014 0.1620 0.0266 O
0.9767 0.1653 0.5902 O
0.6433 0.1447 0.4235 O
0.1620 0.7014 0.4734 O
0.1714 0.2061 0.6933 O
0.3567 0.5013 0.0765 O
0.2061 0.1714 0.8067 O
0.1447 0.5013 0.5765 O
0.6900 0.1680 0.7431 O
0.4987 0.6433 0.5765 O
0.3100 0.4780 0.7569 O
0.6319 0.1272 0.1400 O
0.9653 0.7939 0.8067 O
0.8728 0.5047 0.1400 O
0.8286 0.0347 0.8067 O
0.0347 0.8286 0.6933 O
0.3681 0.8728 0.8600 O
0.9767 0.8113 0.0902 O
0.5013 0.1447 0.9235 O
0.1653 0.9767 0.9098 O
0.1653 0.1887 0.4098 O
0.7939 0.9653 0.6933 O
0.8553 0.3567 0.9235 O
0.8320 0.3100 0.2431 O
0.7080 0.0000 0.7500 Si
0.2920 0.0000 0.2500 Si
0.3747 0.0414 0.5833 Si
0.0000 0.2920 0.2500 Si
0.2920 0.2920 0.7500 Si
0.0000 0.7080 0.7500 Si
0.7080 0.7080 0.2500 Si
0.6667 0.0414 0.0833 Si
0.9586 0.3333 0.5833 Si
0.6667 0.6253 0.5833 Si
0.9586 0.6253 0.0833 Si
0.3333 0.3747 0.4167 Si
0.3333 0.9586 0.9167 Si
0.0414 0.3747 0.9167 Si
0.6253 0.6667 0.9167 Si
0.0414 0.6667 0.4167 Si
0.6253 0.9586 0.4167 Si
0.3747 0.3333 0.0833 Si
```

energy = -7.5978 eV per atom
total magnetic moment = 0.000 μB per cell
calculated volume = 1688.2 Å³ per cell
energy of formation from the pure elements = -3.19 eV per atom